Record 1
Compound: Ti3O
Source: Materials Project
Functional: PBE-GGA
Structure: optimized geometry

Calculated values
Calculated density = 4.83 g cm⁻³
Energy relative to the elements = -1565 meV/atom

Cell lengths 5.1563, 5.1563, 14.2843 Å; angles 90.00, 90.00, 120.00 degrees
Space group P312 (No. 149)
Inequivalent atoms, fractional coordinates:
Ti (0.0000, 0.3379, 0.4216) x6
Ti (0.9996, 0.3385, 0.7553) x6
Ti (0.0054, 0.3328, 0.0886) x6
O (0.0000, 0.0000, 0.0000) x1
O (0.3333, 0.6667, 0.0000) x1
O (0.3333, 0.6667, 0.3335) x2
O (0.6667, 0.3333, 0.3332) x2

***

Record 2
Compound: Ti3O5
Source: Materials Project
Functional: PBE-GGA
Structure: optimized geometry

Calculated values
Energy above the most stable polymorph in this dataset = 192.8 meV per atom
Size of the total moment = 0.5 μB per formula unit
Calculated density = 3.73 g cm⁻³
Energy relative to the elements = -3187 meV/atom

Cell lengths 10.800, 10.808, 11.184 Å; angles 89.45, 83.06, 88.57 degrees
Space group P1 (No. 1)
Inequivalent atoms, fractional coordinates:
Ti (0.000, 0.000, 0.000) x1
Ti (0.000, 0.473, 0.903) x1
Ti (0.131, 0.759, 0.531) x1
Ti (0.177, 0.030, 0.496) x1
Ti (0.187, 0.704, 0.788) x1
Ti (0.189, 0.032, 0.173) x1
Ti (0.195, 0.528, 0.243) x1
Ti (0.230, 0.223, 0.963) x1
Ti (0.264, 0.377, 0.542) x1
Ti (0.268, 0.505, 0.944) x1
Ti (0.324, 0.711, 0.078) x1
Ti (0.339, 0.220, 0.282) x1
Ti (0.351, 0.850, 0.270) x1
Ti (0.426, 0.826, 0.563) x1
Ti (0.446, 0.106, 0.025) x1
Ti (0.449, 0.292, 0.780) x1
Ti (0.456, 0.605, 0.439) x1
Ti (0.466, 0.116, 0.522) x1
Ti (0.521, 0.620, 0.876) x1
Ti (0.582, 0.831, 0.989) x1
Ti (0.621, 0.653, 0.167) x1
Ti (0.626, 0.421, 0.306) x1
Ti (0.642, 0.164, 0.223) x1
Ti (0.646, 0.906, 0.339) x1
Ti (0.654, 0.547, 0.596) x1
Ti (0.665, 0.913, 0.731) x1
Ti (0.712, 0.407, 0.801) x1
Ti (0.725, 0.197, 0.655) x1
Ti (0.748, 0.169, 0.926) x1
Ti (0.870, 0.883, 0.209) x1
Ti (0.879, 0.820, 0.533) x1
Ti (0.880, 0.625, 0.718) x1
Ti (0.880, 0.833, 0.865) x1
Ti (0.883, 0.412, 0.214) x1
Ti (0.887, 0.616, 0.360) x1
Ti (0.953, 0.050, 0.668) x1
Ti (0.971, 0.330, 0.418) x1
Ti (0.995, 0.677, 0.041) x1
Ti (0.997, 0.284, 0.667) x1
O (0.010, 0.702, 0.441) x1
O (0.017, 0.987, 0.186) x1
O (0.029, 0.504, 0.304) x1
O (0.034, 0.918, 0.551) x1
O (0.055, 0.684, 0.678) x1
O (0.091, 0.376, 0.528) x1
O (0.108, 0.777, 0.923) x1
O (0.110, 0.347, 0.953) x1
O (0.112, 0.142, 0.628) x1
O (0.155, 0.532, 0.818) x1
O (0.163, 0.063, 0.991) x1
O (0.169, 0.592, 0.081) x1
O (0.180, 0.113, 0.351) x1
O (0.241, 0.868, 0.137) x1
O (0.242, 0.858, 0.420) x1
O (0.263, 0.376, 0.273) x1
O (0.268, 0.782, 0.648) x1
O (0.284, 0.669, 0.262) x1
O (0.292, 0.191, 0.115) x1
O (0.302, 0.540, 0.493) x1
O (0.328, 0.346, 0.685) x1
O (0.339, 0.007, 0.556) x1
O (0.339, 0.658, 0.857) x1
O (0.352, 0.354, 0.934) x1
O (0.356, 0.240, 0.465) x1
O (0.379, 0.022, 0.231) x1
O (0.389, 0.148, 0.870) x1
O (0.411, 0.558, 0.026) x1
O (0.456, 0.947, 0.987) x1
O (0.474, 0.770, 0.142) x1
O (0.490, 0.801, 0.386) x1
O (0.508, 0.289, 0.271) x1
O (0.509, 0.556, 0.270) x1
O (0.515, 0.669, 0.591) x1
O (0.532, 0.446, 0.800) x1
O (0.546, 0.191, 0.641) x1
O (0.556, 0.923, 0.606) x1
O (0.563, 0.786, 0.823) x1
O (0.571, 0.073, 0.385) x1
O (0.574, 0.468, 0.468) x1
O (0.610, 0.138, 0.060) x1
O (0.638, 0.649, 0.000) x1
O (0.688, 0.812, 0.189) x1
O (0.699, 0.586, 0.764) x1
O (0.720, 0.378, 0.630) x1
O (0.724, 0.930, 0.900) x1
O (0.740, 0.335, 0.947) x1
O (0.744, 0.301, 0.212) x1
O (0.746, 0.558, 0.246) x1
O (0.752, 0.027, 0.235) x1
O (0.785, 0.011, 0.623) x1
O (0.796, 0.842, 0.391) x1
O (0.798, 0.634, 0.538) x1
O (0.817, 0.798, 0.706) x1
O (0.832, 0.429, 0.396) x1
O (0.860, 0.181, 0.770) x1
O (0.892, 0.125, 0.000) x1
O (0.899, 0.848, 0.037) x1
O (0.900, 0.218, 0.543) x1
O (0.908, 0.647, 0.889) x1
O (0.915, 0.436, 0.758) x1
O (0.935, 0.502, 0.070) x1
O (0.942, 0.714, 0.213) x1
O (0.982, 0.275, 0.267) x1
O (0.987, 0.965, 0.815) x1

***

Record 3
Compound: TiO
Source: Materials Project
Functional: PBE-GGA
Structure: optimized geometry

Calculated values
Size of the total moment = 0.0 μB per formula unit
Calculated density = 4.43 g cm⁻³
Energy relative to the elements = -2583 meV/atom

Cell lengths 10.426, 10.677, 10.751 Å; angles 91.89, 90.58, 90.65 degrees
Space group P1 (No. 1)
Inequivalent atoms, fractional coordinates:
Ti (0.000, 0.000, 0.000) x1
Ti (0.001, 0.343, 0.561) x1
Ti (0.026, 0.305, 0.310) x1
Ti (0.026, 0.324, 0.040) x1
Ti (0.030, 0.034, 0.277) x1
Ti (0.049, 0.647, 0.038) x1
Ti (0.092, 0.869, 0.623) x1
Ti (0.095, 0.134, 0.730) x1
Ti (0.101, 0.652, 0.740) x1
Ti (0.102, 0.409, 0.801) x1
Ti (0.133, 0.770, 0.393) x1
Ti (0.202, 0.890, 0.844) x1
Ti (0.230, 0.202, 0.933) x1
Ti (0.232, 0.871, 0.110) x1
Ti (0.236, 0.515, 0.531) x1
Ti (0.244, 0.223, 0.495) x1
Ti (0.284, 0.637, 0.230) x1
Ti (0.295, 0.469, 0.059) x1
Ti (0.309, 0.174, 0.194) x1
Ti (0.342, 0.768, 0.656) x1
Ti (0.347, 0.966, 0.363) x1
Ti (0.370, 0.056, 0.674) x1
Ti (0.385, 0.329, 0.722) x1
Ti (0.405, 0.716, 0.962) x1
Ti (0.408, 0.000, 0.960) x1
Ti (0.419, 0.744, 0.417) x1
Ti (0.457, 0.359, 0.370) x1
Ti (0.501, 0.856, 0.176) x1
Ti (0.523, 0.571, 0.201) x1
Ti (0.553, 0.286, 0.058) x1
Ti (0.584, 0.478, 0.876) x1
Ti (0.585, 0.850, 0.811) x1
Ti (0.587, 0.583, 0.590) x1
Ti (0.590, 0.149, 0.815) x1
Ti (0.621, 0.868, 0.536) x1
Ti (0.660, 0.163, 0.576) x1
Ti (0.701, 0.655, 0.376) x1
Ti (0.719, 0.974, 0.005) x1
Ti (0.734, 0.894, 0.282) x1
Ti (0.741, 0.378, 0.390) x1
Ti (0.788, 0.167, 0.177) x1
Ti (0.789, 0.654, 0.896) x1
Ti (0.806, 0.436, 0.060) x1
Ti (0.814, 0.369, 0.731) x1
Ti (0.833, 0.969, 0.751) x1
Ti (0.842, 0.193, 0.902) x1
Ti (0.868, 0.574, 0.574) x1
Ti (0.874, 0.810, 0.496) x1
Ti (0.897, 0.099, 0.489) x1
Ti (0.935, 0.589, 0.304) x1
O (0.015, 0.934, 0.450) x1
O (0.021, 0.959, 0.788) x1
O (0.039, 0.165, 0.924) x1
O (0.065, 0.168, 0.555) x1
O (0.085, 0.833, 0.993) x1
O (0.088, 0.679, 0.228) x1
O (0.123, 0.484, 0.975) x1
O (0.145, 0.383, 0.437) x1
O (0.166, 0.160, 0.324) x1
O (0.167, 0.690, 0.574) x1
O (0.175, 0.915, 0.281) x1
O (0.212, 0.301, 0.104) x1
O (0.247, 0.676, 0.051) x1
O (0.271, 0.707, 0.820) x1
O (0.277, 0.861, 0.500) x1
O (0.350, 0.472, 0.253) x1
O (0.365, 0.361, 0.534) x1
O (0.372, 0.999, 0.175) x1
O (0.374, 0.091, 0.498) x1
O (0.390, 0.909, 0.787) x1
O (0.397, 0.171, 0.020) x1
O (0.399, 0.614, 0.544) x1
O (0.470, 0.256, 0.222) x1
O (0.494, 0.467, 0.048) x1
O (0.506, 0.305, 0.869) x1
O (0.519, 0.463, 0.702) x1
O (0.532, 0.900, 0.365) x1
O (0.540, 0.868, 0.996) x1
O (0.556, 0.753, 0.661) x1
O (0.578, 0.508, 0.381) x1
O (0.582, 0.661, 0.896) x1
O (0.583, 0.018, 0.666) x1
O (0.599, 0.266, 0.442) x1
O (0.629, 0.726, 0.219) x1
O (0.646, 0.016, 0.172) x1
O (0.681, 0.161, 0.996) x1
O (0.707, 0.338, 0.186) x1
O (0.756, 0.554, 0.733) x1
O (0.771, 0.838, 0.873) x1
O (0.816, 0.270, 0.559) x1
O (0.840, 0.048, 0.320) x1
O (0.857, 0.758, 0.312) x1
O (0.861, 0.615, 0.064) x1
O (0.872, 0.934, 0.109) x1
O (0.915, 0.377, 0.894) x1
O (0.917, 0.450, 0.428) x1
O (0.943, 0.737, 0.646) x1
O (0.971, 0.433, 0.191) x1
O (0.974, 0.644, 0.866) x1
O (0.979, 0.175, 0.167) x1

***

Question: Which of these has the highest calculated density?
Answer: Ti3O